A plane-wave DFT calculation with GGA-PBE was carried out for crystalline SrP2O6 at its relaxed geometry.

extended XYZ file:
```
18
Lattice="6.192 0.000 0.000 1.233 7.111 0.000 2.141 0.129 7.039" Properties=species:S:1:pos:R:3 pbc="T T T"
Sr 2.511 1.668 3.422
Sr 7.055 5.572 3.617
P 3.878 5.383 5.777
P 3.795 5.225 2.309
P 5.771 2.015 4.730
P 5.688 1.857 1.262
O 0.942 2.118 1.495
O 3.078 6.543 2.367
O 2.986 4.044 2.750
O 2.398 5.098 0.046
O 4.678 5.901 4.588
O 4.359 2.163 5.178
O 5.207 5.077 1.862
O 4.888 1.340 2.452
O 7.168 2.142 6.993
O 6.580 3.196 4.289
O 6.488 0.697 4.672
O 8.624 5.122 5.544
```

Calculated values
- Crystal system: triclinic
- V: 309.9 Å³ per cell
- Calculated formation energy: -2.706 eV per atom
- SG: P-1 (2)
- Uncorrected energy: -6.938 eV per atom